The following is a r2SCAN calculation of a relaxed structure of NaPO3, from the Materials Project.

Calculated values
VASP energy = -8.53 eV per atom
theoretical density = 2.68 g cm⁻³
energy of formation = -2429.9 meV/atom
space group = P2_1/c (14)

Cell lengths 5.9509, 7.5971, 13.0732 Å; angles 58.78, 90.00, 90.00 degrees
Closest atoms and distances in Å follow each position.
Element x y z (fractional)
O (0.9460, 0.7149, 0.1745)  2 P 1.60-1.61
O (0.7021, 0.5184, 0.3494)  2 P 1.61
O (0.1271, 0.5459, 0.3783)  1 P 1.48
O (0.8503, 0.8464, 0.3103)  1 P 1.49
O (0.1445, 0.8199, 0.6152)  1 P 1.49
O (0.0631, 0.8099, 0.9737)  1 P 1.48
O (0.3729, 0.5459, 0.8783)  1 P 1.48
O (0.1497, 0.1536, 0.6897)  1 P 1.49
O (0.4460, 0.2851, 0.3255)  2 P 1.60-1.61
O (0.2979, 0.4816, 0.6506)  2 P 1.61
O (0.3555, 0.8199, 0.1152)  1 P 1.49
O (0.3503, 0.1536, 0.1897)  1 P 1.49
O (0.9369, 0.1901, 0.0263)  1 P 1.48
O (0.4369, 0.8099, 0.4737)  1 P 1.48
O (0.6445, 0.1801, 0.8848)  1 P 1.49
O (0.8729, 0.4541, 0.6217)  1 P 1.48
O (0.6497, 0.8464, 0.8103)  1 P 1.49
O (0.5631, 0.1901, 0.5263)  1 P 1.48
O (0.7979, 0.5184, 0.8494)  2 P 1.61
O (0.6271, 0.4541, 0.1217)  1 P 1.48
O (0.5540, 0.7149, 0.6745)  2 P 1.60-1.61
O (0.0540, 0.2851, 0.8255)  2 P 1.60-1.61
O (0.8555, 0.1801, 0.3848)  1 P 1.49
O (0.2021, 0.4816, 0.1506)  2 P 1.61
Na (0.9304, 0.1955, 0.1968)  5 O 2.25-2.52
Na (0.8281, 0.8125, 0.5010)  6 O 2.35-2.57
Na (0.0696, 0.8045, 0.8032)  5 O 2.25-2.52
Na (0.4304, 0.8045, 0.3032)  5 O 2.25-2.52
Na (0.3281, 0.1875, 0.9990)  6 O 2.35-2.57
Na (0.5696, 0.1955, 0.6968)  5 O 2.25-2.52
Na (0.1719, 0.1875, 0.4990)  6 O 2.35-2.57
Na (0.6719, 0.8125, 0.0010)  6 O 2.35-2.57
P (0.5760, 0.6589, 0.8108)  4 O 1.48-1.61
P (0.4240, 0.3411, 0.1892)  4 O 1.48-1.61
P (0.6554, 0.2768, 0.4046)  4 O 1.48-1.61
P (0.0760, 0.3411, 0.6892)  4 O 1.48-1.61
P (0.1554, 0.7232, 0.0954)  4 O 1.48-1.61
P (0.8446, 0.2768, 0.9046)  4 O 1.48-1.61
P (0.3446, 0.7232, 0.5954)  4 O 1.48-1.61
P (0.9240, 0.6589, 0.3108)  4 O 1.48-1.61